# 1
A relaxed structure of NaSb2H2OF7, computed with GGA-PBE.

Geometry as POSCAR:
```
NaSb2H2OF7
1.0
5.572 0.000 0.000
0.000 9.747 0.000
-1.814 0.000 13.580
H F Sb Na O
8 28 8 4 4
direct
0.029 0.531 0.739 H
0.157 0.919 0.738 H
0.971 0.469 0.261 H
0.843 0.419 0.762 H
0.843 0.081 0.262 H
0.157 0.581 0.238 H
0.971 0.031 0.761 H
0.029 0.969 0.239 H
0.007 0.178 0.869 F
0.478 0.781 0.638 F
0.905 0.144 0.506 F
0.522 0.281 0.862 F
0.440 0.103 0.580 F
0.307 0.795 0.821 F
0.105 0.109 0.062 F
0.584 0.046 0.769 F
0.895 0.609 0.438 F
0.895 0.891 0.938 F
0.440 0.397 0.080 F
0.560 0.603 0.920 F
0.522 0.219 0.362 F
0.693 0.205 0.179 F
0.560 0.897 0.420 F
0.007 0.322 0.369 F
0.905 0.356 0.006 F
0.105 0.391 0.562 F
0.993 0.678 0.631 F
0.307 0.705 0.321 F
0.693 0.295 0.679 F
0.478 0.719 0.138 F
0.095 0.856 0.494 F
0.584 0.454 0.269 F
0.993 0.822 0.131 F
0.095 0.644 0.994 F
0.416 0.546 0.731 F
0.416 0.954 0.231 F
0.388 0.200 0.707 Sb
0.205 0.666 0.527 Sb
0.612 0.700 0.793 Sb
0.795 0.166 0.973 Sb
0.612 0.800 0.293 Sb
0.205 0.834 0.027 Sb
0.795 0.334 0.473 Sb
0.388 0.300 0.207 Sb
0.243 0.441 0.926 Na
0.243 0.059 0.426 Na
0.757 0.941 0.574 Na
0.757 0.559 0.074 Na
0.062 0.502 0.209 O
0.938 0.002 0.291 O
0.938 0.498 0.791 O
0.062 0.998 0.709 O
```

Its volume is 737.6 Å³ per cell. Its energy of formation from the pure elements is -2.419 eV per atom. As for the density: 3.760 Mg/m³. For the uncorrected energy, the calculation gives -62.24 eV/f.u. The space-group type is P2_1/c.


# 2
A relaxed structure of MgZrTiPb2O6, computed with GGA-PBE.

Geometry as POSCAR:
```
MgZrTiPb2O6
1.0
-2.127 5.703 2.117
-0.439 1.736 -5.115
-5.106 -1.836 -0.185
Mg Ti O Pb Zr
1 1 6 2 1
direct
0.688 0.000 0.000 Mg
0.480 0.000 0.500 Ti
0.210 0.000 0.500 O
0.592 0.248 0.258 O
0.592 0.752 0.742 O
0.592 0.248 0.742 O
0.156 0.500 0.000 O
0.592 0.752 0.258 O
0.828 0.500 0.500 Pb
0.141 0.000 0.000 Pb
0.455 0.500 0.000 Zr
```

Its volume is 189.6 Å³ per cell. Its energy of formation from the pure elements is -2.542 eV per atom. As for the density: 5.901 Mg/m³. For the uncorrected energy, the calculation gives -79.00 eV/f.u. The space-group type is Pmm2.


# 3
A relaxed structure of Ce3Sb4Pt7, computed with GGA-PBE.

Geometry as POSCAR:
```
Ce3Sb4Pt7
1.0
0.000 -4.367 0.000
6.491 -2.184 -5.119
6.532 -2.184 5.170
Ce Pt Sb
3 7 4
direct
0.171 0.316 0.342 Ce
0.500 0.000 0.000 Ce
0.829 0.684 0.658 Ce
0.825 0.287 0.062 Pt
0.989 0.316 0.706 Pt
0.625 0.148 0.601 Pt
0.375 0.852 0.399 Pt
0.175 0.713 0.938 Pt
0.500 0.500 0.500 Pt
0.011 0.684 0.294 Pt
0.826 0.035 0.314 Sb
0.635 0.595 0.134 Sb
0.174 0.965 0.686 Sb
0.365 0.405 0.866 Sb
```

Its volume is 292.6 Å³ per cell. Its energy of formation from the pure elements is -0.858 eV per atom. As for the density: 12.900 Mg/m³. For the uncorrected energy, the calculation gives -88.83 eV/f.u. The space-group type is C2/m.


# 4
A relaxed structure of Ba2Zn3F10, computed with GGA-PBE.

Geometry as POSCAR:
```
Ba2Zn3F10
1.0
3.063 9.486 0.000
-3.063 9.486 0.000
0.000 2.962 7.476
F Zn Ba
20 6 4
direct
0.152 0.623 0.027 F
0.978 0.978 0.181 F
0.517 0.517 0.815 F
0.864 0.864 0.747 F
0.390 0.911 0.521 F
0.776 0.224 0.500 F
0.238 0.238 0.718 F
0.623 0.152 0.027 F
0.610 0.089 0.479 F
0.483 0.483 0.185 F
0.089 0.610 0.479 F
0.762 0.762 0.282 F
0.911 0.390 0.521 F
0.377 0.848 0.973 F
0.022 0.022 0.819 F
0.224 0.776 0.500 F
0.000 0.500 0.000 F
0.136 0.136 0.253 F
0.500 0.000 0.000 F
0.848 0.377 0.973 F
0.925 0.925 0.454 Zn
0.743 0.257 0.000 Zn
0.257 0.743 0.000 Zn
0.075 0.075 0.546 Zn
0.177 0.177 0.981 Zn
0.823 0.823 0.019 Zn
0.385 0.385 0.720 Ba
0.615 0.615 0.280 Ba
0.717 0.717 0.686 Ba
0.283 0.283 0.314 Ba
```

Its volume is 434.4 Å³ per cell. Its energy of formation from the pure elements is -3.231 eV per atom. As for the density: 5.052 Mg/m³. For the uncorrected energy, the calculation gives -70.61 eV/f.u. The space-group type is C2/m.


# 5
A relaxed structure of Na3CaAl4Si8ClO24, computed with GGA-PBE.

Geometry as POSCAR:
```
Na3CaAl4Si8ClO24
1.0
-2.250 -7.346 0.416
7.137 -6.131 0.410
-1.172 -3.170 8.811
Si Na O Ca Al Cl
8 3 24 1 4 1
direct
0.876 0.248 0.577 Si
0.586 0.071 0.751 Si
0.710 0.752 0.420 Si
0.458 0.420 0.250 Si
0.124 0.582 0.756 Si
0.663 0.748 0.931 Si
0.338 0.252 0.072 Si
0.416 0.928 0.252 Si
0.859 0.348 0.919 Na
0.771 0.086 0.347 Na
0.135 0.649 0.081 Na
0.567 0.638 0.900 O
0.544 0.807 0.110 O
0.213 0.897 0.373 O
0.651 0.894 0.812 O
0.125 0.709 0.614 O
0.103 0.359 0.099 O
0.556 0.716 0.591 O
0.355 0.105 0.190 O
0.828 0.607 0.303 O
0.148 0.416 0.707 O
0.462 0.193 0.893 O
0.449 0.355 0.101 O
0.803 0.098 0.644 O
0.739 0.394 0.695 O
0.866 0.287 0.407 O
0.273 0.589 0.296 O
0.110 0.181 0.577 O
0.687 0.423 0.184 O
0.904 0.647 0.905 O
0.297 0.578 0.815 O
0.437 0.298 0.394 O
0.451 0.097 0.647 O
0.555 0.905 0.355 O
0.874 0.817 0.425 O
0.218 0.918 0.646 Ca
0.866 0.422 0.254 Al
0.123 0.743 0.426 Al
0.546 0.577 0.744 Al
0.285 0.258 0.579 Al
0.028 0.987 0.959 Cl
```

Its volume is 571.7 Å³ per cell. Its energy of formation from the pure elements is -3.207 eV per atom. As for the density: 2.501 Mg/m³. For the uncorrected energy, the calculation gives -299.95 eV/f.u. The space-group type is P1.


# 6
A relaxed structure of Ba2TbSbO6, computed with GGA-PBE.

Geometry as POSCAR:
```
Ba2TbSbO6
1.0
0.000 4.272 4.272
4.272 0.000 4.272
4.272 4.272 0.000
Tb O Ba Sb
1 6 2 1
direct
0.000 0.000 0.000 Tb
0.736 0.736 0.264 O
0.264 0.736 0.264 O
0.736 0.264 0.736 O
0.264 0.736 0.736 O
0.736 0.264 0.264 O
0.264 0.264 0.736 O
0.750 0.750 0.750 Ba
0.250 0.250 0.250 Ba
0.500 0.500 0.500 Sb
```

Its volume is 156.0 Å³ per cell. Its energy of formation from the pure elements is -3.084 eV per atom. As for the density: 6.934 Mg/m³. For the uncorrected energy, the calculation gives -69.01 eV/f.u. The space-group type is Fm-3m.


# 7
A relaxed structure of Bi12Rh12O41, computed with GGA-PBE.

Geometry as POSCAR:
```
Bi12Rh12O41
1.0
-9.218 -7.880 3.697
-7.529 3.167 9.696
4.309 3.148 -11.500
O Rh Bi
41 12 12
direct
0.195 0.361 0.416 O
0.195 0.778 0.833 O
0.251 0.667 0.584 O
0.231 0.342 0.889 O
0.585 0.000 0.585 O
0.055 0.222 0.416 O
0.165 0.000 0.165 O
0.832 0.666 0.166 O
0.861 0.028 0.417 O
0.722 0.891 0.417 O
0.526 0.695 0.417 O
0.307 0.143 0.588 O
0.919 0.500 0.419 O
0.861 0.444 0.834 O
0.112 0.528 0.167 O
0.778 0.195 0.164 O
0.850 0.000 0.850 O
0.958 0.834 0.124 O
0.445 0.281 0.588 O
0.501 0.334 0.166 O
0.055 0.639 0.833 O
0.331 0.500 0.831 O
0.667 0.833 0.834 O
0.249 0.834 0.416 O
0.112 0.945 0.584 O
0.445 0.857 0.164 O
0.639 0.472 0.584 O
0.001 0.167 0.834 O
0.390 0.556 0.417 O
0.778 0.614 0.583 O
0.547 0.658 0.889 O
0.582 0.166 0.416 O
0.289 0.166 0.124 O
0.307 0.719 0.164 O
0.639 0.055 0.167 O
0.526 0.109 0.832 O
0.917 0.333 0.584 O
0.722 0.305 0.832 O
0.969 0.386 0.164 O
0.969 0.805 0.583 O
0.390 0.972 0.834 O
0.750 0.250 0.501 Rh
0.918 0.416 0.999 Rh
0.248 0.750 0.998 Rh
0.583 0.084 0.499 Rh
0.918 0.918 0.502 Rh
0.084 0.583 0.501 Rh
0.918 0.417 0.501 Rh
0.584 0.082 0.999 Rh
0.251 0.750 0.501 Rh
0.415 0.916 0.499 Rh
0.248 0.250 0.498 Rh
0.584 0.584 0.502 Rh
0.255 0.252 0.003 Bi
0.740 0.257 0.998 Bi
0.417 0.914 0.001 Bi
0.078 0.083 0.995 Bi
0.417 0.416 0.503 Bi
0.912 0.917 0.995 Bi
0.751 0.748 0.003 Bi
0.429 0.422 0.008 Bi
0.586 0.578 0.008 Bi
0.740 0.743 0.483 Bi
0.087 0.584 0.001 Bi
0.087 0.086 0.503 Bi
```

Its volume is 832.0 Å³ per cell. Its energy of formation from the pure elements is -1.450 eV per atom. As for the density: 8.779 Mg/m³. For the uncorrected energy, the calculation gives -403.99 eV/f.u. The space-group type is Imm2.


# 8
A relaxed structure of Tb3Nd, computed with GGA-PBE.

Geometry as POSCAR:
```
Tb3Nd
1.0
-2.538 2.538 5.080
2.538 -2.538 5.080
2.538 2.538 -5.080
Tb Nd
3 1
direct
0.500 0.500 0.000 Tb
0.250 0.750 0.500 Tb
0.750 0.250 0.500 Tb
0.000 0.000 0.000 Nd
```

Its volume is 130.9 Å³ per cell. Its energy of formation from the pure elements is 0.020 eV per atom. As for the density: 7.875 Mg/m³. For the uncorrected energy, the calculation gives -18.59 eV/f.u. The space-group type is I4/mmm.